(1)
Density functional theory data (GGA-PBE) for a relaxed LiZnAsH2O5 crystal.

a b c (Å): 5.216 8.466 11.086
angles (deg): 90.00 90.00 90.00
Atoms (fractional coordinates):
Li: 0.264 0.675 0.180
Li: 0.764 0.175 0.320
Li: 0.264 0.825 0.680
Li: 0.764 0.325 0.820
Zn: 0.763 0.869 0.124
Zn: 0.263 0.369 0.376
Zn: 0.763 0.631 0.624
Zn: 0.263 0.131 0.876
As: 0.258 0.079 0.171
As: 0.758 0.579 0.329
As: 0.258 0.421 0.671
As: 0.758 0.921 0.829
H: 0.593 0.451 0.016
H: 0.822 0.331 0.041
H: 0.322 0.831 0.459
H: 0.093 0.951 0.484
H: 0.593 0.049 0.516
H: 0.822 0.169 0.541
H: 0.322 0.669 0.959
H: 0.093 0.549 0.984
O: 0.256 0.588 0.015
O: 0.171 0.181 0.043
O: 0.127 0.891 0.168
O: 0.585 0.060 0.190
O: 0.632 0.678 0.207
O: 0.132 0.178 0.293
O: 0.085 0.560 0.310
O: 0.627 0.391 0.332
O: 0.671 0.681 0.457
O: 0.756 0.088 0.485
O: 0.256 0.912 0.515
O: 0.171 0.319 0.543
O: 0.127 0.609 0.668
O: 0.585 0.440 0.690
O: 0.632 0.822 0.707
O: 0.132 0.322 0.793
O: 0.085 0.940 0.810
O: 0.627 0.109 0.832
O: 0.671 0.819 0.957
O: 0.756 0.412 0.985

Magnetic moment (Bohr magnetons per cell): 0.0
E_form (meV/atom): -1763
Crystal system: orthorhombic
Total energy (Ry per atom): -0.3936
Space group: Pna2_1, No. 33

---

(2)
Density functional theory data (GGA-PBE) for a relaxed Sr3LiAs2H crystal.

a b c (Å): 4.496 12.100 12.631
angles (deg): 90.00 90.00 90.00
Atoms (fractional coordinates):
Sr: 0.250 0.063 0.622
Sr: 0.250 0.563 0.878
Sr: 0.750 0.937 0.378
Sr: 0.750 0.437 0.122
Sr: 0.250 0.205 0.299
Sr: 0.250 0.705 0.201
Sr: 0.750 0.795 0.701
Sr: 0.750 0.295 0.799
Sr: 0.250 0.369 0.561
Sr: 0.250 0.869 0.939
Sr: 0.750 0.631 0.439
Sr: 0.750 0.131 0.061
Li: 0.250 0.135 0.859
Li: 0.250 0.635 0.641
Li: 0.750 0.865 0.141
Li: 0.750 0.365 0.359
As: 0.250 0.313 0.987
As: 0.250 0.813 0.513
As: 0.750 0.687 0.013
As: 0.750 0.187 0.487
As: 0.250 0.475 0.325
As: 0.250 0.975 0.175
As: 0.750 0.525 0.675
As: 0.750 0.025 0.825
H: 0.250 0.238 0.727
H: 0.250 0.738 0.773
H: 0.750 0.762 0.273
H: 0.750 0.262 0.227

Magnetic moment (Bohr magnetons per cell): 0.0
E_form (meV/atom): -1019
Crystal system: orthorhombic
Total energy (Ry per atom): -0.2797
Space group: Pnma, No. 62

---

(3)
Density functional theory data (GGA-PBE) for a relaxed Mg5As4H22O26 crystal.

a b c (Å): 6.702 7.865 10.571
angles (deg): 81.35 80.93 84.13
Atoms (fractional coordinates):
Mg: 0.000 0.000 0.500
Mg: 0.602 0.082 0.093
Mg: 0.398 0.918 0.907
Mg: 0.108 0.637 0.065
Mg: 0.892 0.363 0.935
As: 0.081 0.040 0.165
As: 0.919 0.960 0.835
As: 0.595 0.630 0.134
As: 0.405 0.370 0.866
H: 0.370 0.134 0.308
H: 0.630 0.866 0.692
H: 0.345 0.452 0.605
H: 0.655 0.548 0.395
H: 0.254 0.483 0.271
H: 0.746 0.517 0.729
H: 0.354 0.002 0.602
H: 0.646 0.998 0.398
H: 0.124 0.766 0.353
H: 0.876 0.234 0.647
H: 0.271 0.197 0.553
H: 0.729 0.803 0.447
H: 0.203 0.184 0.798
H: 0.797 0.816 0.202
H: 0.110 0.443 0.623
H: 0.890 0.557 0.377
H: 0.093 0.351 0.264
H: 0.907 0.649 0.736
H: 0.526 0.280 0.278
H: 0.474 0.720 0.722
H: 0.185 0.654 0.481
H: 0.815 0.346 0.519
O: 0.893 0.154 0.086
O: 0.107 0.846 0.914
O: 0.824 0.562 0.054
O: 0.176 0.438 0.946
O: 0.154 0.773 0.440
O: 0.846 0.227 0.560
O: 0.413 0.685 0.035
O: 0.587 0.315 0.965
O: 0.313 0.047 0.070
O: 0.687 0.953 0.930
O: 0.233 0.434 0.558
O: 0.767 0.566 0.442
O: 0.516 0.153 0.278
O: 0.484 0.847 0.722
O: 0.023 0.825 0.200
O: 0.977 0.175 0.800
O: 0.510 0.495 0.269
O: 0.490 0.505 0.731
O: 0.357 0.179 0.806
O: 0.643 0.821 0.194
O: 0.094 0.123 0.305
O: 0.906 0.877 0.695
O: 0.267 0.074 0.544
O: 0.733 0.926 0.456
O: 0.114 0.477 0.249
O: 0.886 0.523 0.751

Magnetic moment (Bohr magnetons per cell): 0.0
E_form (meV/atom): -1744
Crystal system: triclinic
Total energy (Ry per atom): -0.4017
Space group: P-1, No. 2

---

(4)
Density functional theory data (GGA-PBE) for a relaxed MgAsH15O11 crystal.

a b c (Å): 13.637 13.637 11.456
angles (deg): 88.64 88.64 151.62
Atoms (fractional coordinates):
Mg: 0.720 0.280 0.250
Mg: 0.554 0.446 0.750
Mg: 0.446 0.554 0.250
Mg: 0.280 0.720 0.750
As: 0.970 0.161 0.958
As: 0.839 0.030 0.542
As: 0.161 0.970 0.458
As: 0.030 0.839 0.042
H: 0.807 0.777 0.320
H: 0.743 0.674 0.201
H: 0.925 0.692 0.823
H: 0.936 0.700 0.686
H: 0.846 0.549 0.368
H: 0.985 0.546 0.628
H: 0.880 0.379 0.858
H: 0.919 0.300 0.839
H: 0.826 0.215 0.394
H: 0.734 0.635 0.535
H: 0.668 0.404 0.122
H: 0.606 0.482 0.991
H: 0.596 0.332 0.378
H: 0.708 0.369 0.851
H: 0.000 0.000 0.000
H: 0.785 0.174 0.106
H: 0.670 0.294 0.981
H: 0.876 0.124 0.750
H: 0.706 0.330 0.519
H: 0.000 0.000 0.500
H: 0.631 0.292 0.649
H: 0.518 0.394 0.509
H: 0.451 0.154 0.132
H: 0.365 0.266 0.965
H: 0.692 0.925 0.323
H: 0.700 0.936 0.186
H: 0.326 0.257 0.299
H: 0.700 0.081 0.661
H: 0.621 0.120 0.642
H: 0.546 0.985 0.128
H: 0.777 0.807 0.820
H: 0.223 0.193 0.180
H: 0.454 0.015 0.872
H: 0.379 0.880 0.358
H: 0.300 0.919 0.339
H: 0.674 0.743 0.701
H: 0.300 0.064 0.814
H: 0.308 0.075 0.677
H: 0.635 0.734 0.035
H: 0.549 0.846 0.868
H: 0.482 0.606 0.491
H: 0.369 0.708 0.351
H: 0.294 0.670 0.481
H: 0.124 0.876 0.250
H: 0.330 0.706 0.019
H: 0.215 0.826 0.894
H: 0.292 0.631 0.149
H: 0.404 0.668 0.622
H: 0.394 0.518 0.009
H: 0.332 0.596 0.878
H: 0.266 0.365 0.465
H: 0.174 0.785 0.606
H: 0.081 0.700 0.161
H: 0.120 0.621 0.142
H: 0.015 0.454 0.372
H: 0.154 0.451 0.632
H: 0.064 0.300 0.314
H: 0.075 0.308 0.177
H: 0.257 0.326 0.799
H: 0.193 0.223 0.680
O: 0.115 0.034 0.023
O: 0.725 0.717 0.253
O: 0.775 0.610 0.095
O: 0.986 0.423 0.828
O: 0.834 0.612 0.756
O: 0.864 0.317 0.368
O: 0.720 0.396 0.372
O: 0.823 0.086 0.417
O: 0.914 0.177 0.083
O: 0.919 0.180 0.647
O: 0.034 0.115 0.523
O: 0.601 0.490 0.572
O: 0.686 0.289 0.897
O: 0.604 0.280 0.128
O: 0.711 0.314 0.603
O: 0.510 0.399 0.928
O: 0.683 0.136 0.132
O: 0.820 0.081 0.853
O: 0.390 0.225 0.405
O: 0.283 0.275 0.247
O: 0.423 0.986 0.328
O: 0.612 0.834 0.256
O: 0.388 0.166 0.744
O: 0.577 0.014 0.672
O: 0.717 0.725 0.753
O: 0.610 0.775 0.595
O: 0.180 0.919 0.147
O: 0.317 0.864 0.868
O: 0.490 0.601 0.072
O: 0.289 0.686 0.397
O: 0.396 0.720 0.872
O: 0.314 0.711 0.103
O: 0.399 0.510 0.428
O: 0.966 0.885 0.477
O: 0.081 0.820 0.353
O: 0.086 0.823 0.917
O: 0.177 0.914 0.583
O: 0.280 0.604 0.628
O: 0.136 0.683 0.632
O: 0.166 0.388 0.244
O: 0.014 0.577 0.172
O: 0.225 0.390 0.905
O: 0.275 0.283 0.747
O: 0.885 0.966 0.977

Magnetic moment (Bohr magnetons per cell): 0.0
E_form (meV/atom): -1468
Crystal system: monoclinic
Total energy (Ry per atom): -0.3809
Space group: C2/c, No. 15

---

> The highest total energy belongs to which entry?

Sr3LiAs2H

---

> E_form of number 1 (LiZnAsH2O5)?

-1763 meV/atom

---

> Which value of magnetic moment does entry 2 give?

0.0 Bohr magnetons per cell